# 1
DFT (GGA-PBE) results for KRbMg30O31 after structural relaxation.

Summary:
ΔH_f (0 K), meV per atom: -2828

abc: 8.545 8.717 8.738
angles: 90.00 90.00 90.00
Fractional coordinates of all 63 atoms:
K  0.993  0.000  0.000
Rb  0.120  0.000  0.500
Mg  0.993  0.500  0.000
Mg  0.990  0.500  0.500
Mg  0.500  0.000  0.000
Mg  0.517  0.000  0.500
Mg  0.500  0.500  0.000
Mg  0.505  0.500  0.500
Mg  0.996  0.252  0.251
Mg  0.996  0.252  0.749
Mg  0.996  0.748  0.251
Mg  0.996  0.748  0.749
Mg  0.498  0.248  0.252
Mg  0.498  0.248  0.748
Mg  0.498  0.752  0.252
Mg  0.498  0.752  0.748
Mg  0.248  0.000  0.219
Mg  0.248  0.000  0.781
Mg  0.247  0.500  0.245
Mg  0.247  0.500  0.755
Mg  0.757  0.000  0.257
Mg  0.757  0.000  0.743
Mg  0.748  0.500  0.250
Mg  0.748  0.500  0.750
Mg  0.248  0.259  0.000
Mg  0.250  0.282  0.500
Mg  0.248  0.741  0.000
Mg  0.250  0.718  0.500
Mg  0.746  0.250  0.000
Mg  0.759  0.243  0.500
Mg  0.746  0.750  0.000
Mg  0.759  0.757  0.500
O  0.273  0.000  0.000
O  0.254  0.500  0.000
O  0.257  0.500  0.500
O  0.722  0.000  0.000
O  0.744  0.000  0.500
O  0.742  0.500  0.000
O  0.744  0.500  0.500
O  0.247  0.246  0.255
O  0.247  0.246  0.745
O  0.247  0.754  0.255
O  0.247  0.754  0.745
O  0.747  0.249  0.252
O  0.747  0.249  0.748
O  0.747  0.751  0.252
O  0.747  0.751  0.748
O  0.999  0.000  0.261
O  0.999  0.000  0.739
O  0.999  0.500  0.252
O  0.999  0.500  0.748
O  0.486  0.000  0.263
O  0.486  0.000  0.737
O  0.496  0.500  0.253
O  0.496  0.500  0.747
O  0.000  0.274  0.000
O  0.003  0.271  0.500
O  0.000  0.726  0.000
O  0.003  0.729  0.500
O  0.495  0.254  0.000
O  0.490  0.244  0.500
O  0.495  0.746  0.000
O  0.490  0.756  0.500


# 2
DFT (GGA-PBE) results for TlSbS2 after structural relaxation.

Summary:
ΔH_f (0 K), meV per atom: -585

abc: 6.321 6.605 11.965
angles: 101.43 97.09 104.75
Fractional coordinates of all 16 atoms:
Tl  0.904  0.726  0.086
Tl  0.096  0.274  0.914
Tl  0.434  0.701  0.336
Tl  0.566  0.299  0.664
Sb  0.602  0.206  0.156
Sb  0.027  0.207  0.406
Sb  0.398  0.794  0.844
Sb  0.973  0.793  0.594
S  0.019  0.183  0.636
S  0.981  0.817  0.364
S  0.368  0.792  0.620
S  0.632  0.208  0.380
S  0.001  0.787  0.825
S  0.417  0.819  0.093
S  0.583  0.181  0.907
S  0.999  0.213  0.175


# 3
DFT (GGA-PBE) results for MgSi2 after structural relaxation.

Summary:
ΔH_f (0 K), meV per atom: 168

abc: 5.982 7.227 9.870
angles: 81.47 90.00 90.00
Fractional coordinates of all 24 atoms:
Mg  0.500  0.956  0.875
Mg  0.000  0.126  0.384
Mg  0.500  0.563  0.601
Mg  0.000  0.503  0.145
Mg  0.000  0.483  0.612
Mg  0.500  0.438  0.108
Mg  0.000  0.869  0.928
Mg  0.500  0.060  0.333
Si  0.292  0.589  0.853
Si  0.801  0.756  0.402
Si  0.301  0.178  0.610
Si  0.802  0.139  0.100
Si  0.202  0.844  0.653
Si  0.705  0.807  0.153
Si  0.202  0.260  0.842
Si  0.706  0.425  0.380
Si  0.699  0.178  0.610
Si  0.198  0.139  0.100
Si  0.708  0.589  0.853
Si  0.199  0.756  0.402
Si  0.798  0.260  0.842
Si  0.294  0.425  0.380
Si  0.798  0.844  0.653
Si  0.295  0.807  0.153


# 4
DFT (GGA-PBE) results for Sr2HoSbO6 after structural relaxation.

Summary:
ΔH_f (0 K), meV per atom: -3121

abc: 5.908 5.859 10.152
angles: 54.94 90.00 90.00
Fractional coordinates of all 20 atoms:
Sr  0.469  0.242  0.250
Sr  0.969  0.758  0.250
Sr  0.531  0.758  0.750
Sr  0.031  0.242  0.750
Ho  0.500  0.500  0.500
Ho  0.000  0.500  0.000
Sb  0.000  0.000  0.500
Sb  0.500  0.000  0.000
O  0.020  0.311  0.264
O  0.980  0.689  0.736
O  0.227  0.159  0.041
O  0.202  0.767  0.461
O  0.727  0.841  0.459
O  0.480  0.311  0.764
O  0.773  0.841  0.959
O  0.298  0.767  0.961
O  0.702  0.233  0.039
O  0.520  0.689  0.236
O  0.273  0.159  0.541
O  0.798  0.233  0.539


# 5
DFT (GGA-PBE) results for Y2O3 after structural relaxation.

Summary:
ΔH_f (0 K), meV per atom: -3881

abc: 3.420 9.203 9.360
angles: 73.41 90.00 90.00
Fractional coordinates of all 20 atoms:
Y  0.250  0.820  0.012
Y  0.250  0.451  0.184
Y  0.250  0.061  0.329
Y  0.750  0.666  0.413
Y  0.250  0.334  0.587
Y  0.750  0.939  0.671
Y  0.750  0.549  0.816
Y  0.750  0.180  0.988
O  0.250  0.036  0.101
O  0.750  0.606  0.046
O  0.750  0.236  0.222
O  0.250  0.690  0.255
O  0.750  0.421  0.404
O  0.250  0.095  0.567
O  0.750  0.905  0.433
O  0.250  0.579  0.596
O  0.750  0.310  0.745
O  0.250  0.764  0.778
O  0.250  0.394  0.954
O  0.750  0.964  0.899


# 6
DFT (GGA-PBE) results for Li4NbP4O14 after structural relaxation.

Summary:
ΔH_f (0 K), meV per atom: -2680

abc: 10.167 10.167 9.201
angles: 90.00 90.00 90.00
Fractional coordinates of all 92 atoms:
Li  0.936  0.857  0.401
Li  0.064  0.857  0.901
Li  0.857  0.936  0.099
Li  0.143  0.936  0.599
Li  0.143  0.064  0.099
Li  0.857  0.064  0.599
Li  0.064  0.143  0.401
Li  0.936  0.143  0.901
Li  0.436  0.357  0.599
Li  0.564  0.357  0.099
Li  0.643  0.436  0.401
Li  0.357  0.436  0.901
Li  0.357  0.564  0.401
Li  0.643  0.564  0.901
Li  0.436  0.643  0.099
Li  0.564  0.643  0.599
Nb  0.500  0.000  0.068
Nb  0.500  0.000  0.568
Nb  0.000  0.500  0.432
Nb  0.000  0.500  0.932
P  0.405  0.768  0.823
P  0.595  0.768  0.323
P  0.732  0.905  0.823
P  0.268  0.905  0.323
P  0.268  0.095  0.823
P  0.732  0.095  0.323
P  0.405  0.232  0.323
P  0.595  0.232  0.823
P  0.905  0.268  0.177
P  0.095  0.268  0.677
P  0.768  0.405  0.677
P  0.232  0.405  0.177
P  0.232  0.595  0.677
P  0.768  0.595  0.177
P  0.905  0.732  0.677
P  0.095  0.732  0.177
O  0.760  0.760  0.750
O  0.240  0.760  0.250
O  0.490  0.814  0.692
O  0.510  0.814  0.192
O  0.043  0.861  0.115
O  0.957  0.861  0.615
O  0.368  0.874  0.443
O  0.632  0.874  0.943
O  0.626  0.868  0.443
O  0.374  0.868  0.943
O  0.861  0.957  0.885
O  0.139  0.957  0.385
O  0.314  0.990  0.192
O  0.686  0.990  0.692
O  0.314  0.010  0.692
O  0.686  0.010  0.192
O  0.139  0.043  0.885
O  0.861  0.043  0.385
O  0.374  0.132  0.443
O  0.626  0.132  0.943
O  0.632  0.126  0.443
O  0.368  0.126  0.943
O  0.043  0.139  0.615
O  0.957  0.139  0.115
O  0.490  0.186  0.192
O  0.510  0.186  0.692
O  0.760  0.240  0.250
O  0.240  0.240  0.750
O  0.260  0.260  0.250
O  0.740  0.260  0.750
O  0.990  0.314  0.308
O  0.010  0.314  0.808
O  0.457  0.361  0.385
O  0.543  0.361  0.885
O  0.868  0.374  0.557
O  0.132  0.374  0.057
O  0.874  0.368  0.057
O  0.126  0.368  0.557
O  0.361  0.457  0.115
O  0.639  0.457  0.615
O  0.186  0.490  0.308
O  0.814  0.490  0.808
O  0.186  0.510  0.808
O  0.814  0.510  0.308
O  0.361  0.543  0.615
O  0.639  0.543  0.115
O  0.874  0.632  0.557
O  0.126  0.632  0.057
O  0.868  0.626  0.057
O  0.132  0.626  0.557
O  0.457  0.639  0.885
O  0.543  0.639  0.385
O  0.990  0.686  0.808
O  0.010  0.686  0.308
O  0.740  0.740  0.250
O  0.260  0.740  0.750


# 7
DFT (GGA-PBE) results for Ca7PbN6 after structural relaxation.

Summary:
ΔH_f (0 K), meV per atom: -723

abc: 6.427 9.346 9.346
angles: 80.45 69.89 69.89
Fractional coordinates of all 28 atoms:
Ca  0.289  0.949  0.051
Ca  0.711  0.051  0.949
Ca  0.211  0.449  0.551
Ca  0.789  0.551  0.449
Ca  0.750  0.152  0.592
Ca  0.505  0.592  0.152
Ca  0.750  0.908  0.348
Ca  0.995  0.348  0.908
Ca  0.250  0.848  0.408
Ca  0.495  0.408  0.848
Ca  0.250  0.092  0.652
Ca  0.005  0.652  0.092
Ca  0.250  0.250  0.250
Ca  0.750  0.750  0.750
Pb  0.750  0.250  0.250
Pb  0.250  0.750  0.750
N  0.035  0.057  0.296
N  0.612  0.296  0.057
N  0.465  0.204  0.443
N  0.888  0.443  0.204
N  0.965  0.943  0.704
N  0.388  0.704  0.943
N  0.535  0.796  0.557
N  0.112  0.557  0.796
N  0.871  0.353  0.647
N  0.129  0.647  0.353
N  0.629  0.853  0.147
N  0.371  0.147  0.853


# 8
DFT (GGA-PBE) results for Ba2SmCu4O8 after structural relaxation.

Summary:
ΔH_f (0 K), meV per atom: -2044

abc: 13.953 13.953 3.929
angles: 90.00 90.00 163.91
Fractional coordinates of all 15 atoms:
Ba  0.636  0.364  0.500
Ba  0.364  0.636  0.500
Sm  0.500  0.500  0.500
Cu  0.938  0.062  0.000
Cu  0.062  0.938  0.000
Cu  0.787  0.213  0.000
Cu  0.213  0.787  0.000
O  0.854  0.146  0.000
O  0.146  0.854  0.000
O  0.554  0.446  0.000
O  0.446  0.554  0.000
O  0.719  0.281  0.000
O  0.281  0.719  0.000
O  0.946  0.054  0.500
O  0.054  0.946  0.500


# 9
DFT (GGA-PBE) results for LaPm3 after structural relaxation.

Summary:
ΔH_f (0 K), meV per atom: 23

abc: 6.389 6.389 6.389
angles: 131.83 131.83 70.50
Fractional coordinates of all 4 atoms:
La  0.000  0.000  0.000
Pm  0.750  0.250  0.500
Pm  0.250  0.750  0.500
Pm  0.500  0.500  0.000


# 10
DFT (GGA-PBE) results for Na4TeH10Se2O16 after structural relaxation.

Summary:
ΔH_f (0 K), meV per atom: -1288

abc: 5.292 11.388 13.631
angles: 90.00 90.00 103.07
Fractional coordinates of all 66 atoms:
Na  0.129  0.225  0.667
Na  0.871  0.775  0.333
Na  0.722  0.139  0.954
Na  0.722  0.639  0.546
Na  0.871  0.275  0.167
Na  0.129  0.725  0.833
Na  0.278  0.361  0.454
Na  0.278  0.861  0.046
Te  0.000  0.500  0.000
Te  0.000  0.000  0.500
H  0.114  0.065  0.090
H  0.114  0.565  0.410
H  0.886  0.435  0.590
H  0.066  0.821  0.650
H  0.886  0.935  0.910
H  0.307  0.738  0.504
H  0.307  0.238  0.996
H  0.199  0.108  0.943
H  0.934  0.679  0.150
H  0.066  0.321  0.850
H  0.806  0.799  0.706
H  0.199  0.608  0.557
H  0.934  0.179  0.350
H  0.693  0.262  0.496
H  0.693  0.762  0.004
H  0.801  0.392  0.443
H  0.194  0.201  0.294
H  0.801  0.892  0.057
H  0.806  0.299  0.794
H  0.194  0.701  0.206
Se  0.502  0.002  0.687
Se  0.498  0.998  0.313
Se  0.502  0.502  0.813
Se  0.498  0.498  0.187
O  0.263  0.438  0.906
O  0.195  0.452  0.118
O  0.805  0.844  0.495
O  0.737  0.562  0.094
O  0.303  0.152  0.999
O  0.805  0.548  0.882
O  0.242  0.430  0.620
O  0.303  0.652  0.501
O  0.464  0.138  0.714
O  0.536  0.862  0.286
O  0.758  0.570  0.380
O  0.021  0.993  0.873
O  0.758  0.070  0.120
O  0.979  0.007  0.127
O  0.697  0.848  0.001
O  0.464  0.638  0.786
O  0.737  0.062  0.406
O  0.697  0.348  0.499
O  0.939  0.258  0.814
O  0.195  0.952  0.382
O  0.263  0.938  0.594
O  0.195  0.156  0.505
O  0.061  0.742  0.186
O  0.061  0.242  0.314
O  0.242  0.930  0.880
O  0.979  0.507  0.373
O  0.939  0.758  0.686
O  0.805  0.344  0.005
O  0.536  0.362  0.214
O  0.021  0.493  0.627
O  0.805  0.048  0.618
O  0.195  0.656  0.995


# 11
DFT (GGA-PBE) results for Mn6ZnGaC2 after structural relaxation.

Summary:
ΔH_f (0 K), meV per atom: 1957

abc: 4.620 4.620 9.231
angles: 90.00 90.00 90.00
Fractional coordinates of all 10 atoms:
Mn  0.500  0.500  0.998
Mn  0.500  0.500  0.502
Mn  0.500  0.000  0.250
Mn  0.500  0.000  0.750
Mn  0.000  0.500  0.250
Mn  0.000  0.500  0.750
Zn  0.500  0.500  0.750
Ga  0.500  0.500  0.250
C  0.000  0.000  0.002
C  0.000  0.000  0.498